A relaxed structure of NdB2Os2, computed with meta-GGA r2SCAN.

Calculated values
VASP energy = -30.545 eV/atom
Total magnetic moment = 0.00 μB/f.u.

Lattice parameters (Å, degrees): 6.7773 6.0082 5.6300 71.14 57.03 51.83
With the nearest neighbours (Å) after each atom.
Fractional positions:
1 B 0.6850 0.3150 0.6850  4 Os 2.09-2.18
2 B 0.5650 0.9350 0.5650  4 Os 2.09-2.18
3 B 0.9350 0.5650 0.9350  4 Os 2.09-2.18
4 B 0.3150 0.6850 0.3150  4 Os 2.09-2.18
5 Os 0.6370 0.6370 0.3630  4 B 2.09-2.18
6 Os 0.6130 0.6130 0.8870  4 B 2.09-2.18
7 Os 0.8870 0.8870 0.6130  4 B 2.09-2.18
8 Os 0.3630 0.3630 0.6370  4 B 2.09-2.18
9 Nd 0.2500 0.2500 0.2500  6 B 2.87-3.06, 4 Os 3.03
10 Nd 0.0000 0.0000 0.0000  6 B 2.87-3.06, 4 Os 3.03


A relaxed structure of PtS2Cl8, computed with meta-GGA r2SCAN.

Calculated values
VASP energy = -10.986 eV/atom
Total magnetic moment = 0.00 μB/f.u.

Lattice parameters (Å, degrees): 7.2896 6.3711 12.5631 80.69 90.00 90.00
With the nearest neighbours (Å) after each atom.
Fractional positions:
1 Cl 0.3983 0.8345 0.3580  1 Pt 2.34
2 Cl 0.6600 0.2502 0.3784  1 Pt 2.33
3 Cl 0.9053 0.7822 0.4111  1 S 2.00
4 Cl 0.8400 0.2502 0.8784  1 Pt 2.33
5 Cl 0.0947 0.2178 0.5889  1 S 2.00
6 Cl 0.3400 0.7498 0.6216  1 Pt 2.33
7 Cl 0.1644 0.2961 0.3413  1 S 2.00
8 Cl 0.6017 0.1655 0.6420  1 Pt 2.34
9 Cl 0.1017 0.8345 0.8580  1 Pt 2.34
10 Cl 0.3356 0.2961 0.8413  1 S 2.00
11 Cl 0.8983 0.1655 0.1420  1 Pt 2.34
12 Cl 0.1600 0.7498 0.1216  1 Pt 2.33
13 Cl 0.5947 0.7822 0.9111  1 S 2.00
14 Cl 0.8356 0.7039 0.6587  1 S 2.00
15 Cl 0.4053 0.2178 0.0889  1 S 2.00
16 Cl 0.6644 0.7039 0.1587  1 S 2.00
17 S 0.2957 0.2919 0.4810  2 Cl 2.00
18 S 0.7043 0.7081 0.5190  2 Cl 2.00
19 S 0.2043 0.2919 0.9810  2 Cl 2.00
20 S 0.7957 0.7081 0.0190  2 Cl 2.00
21 Pt 0.0000 0.0000 0.0000  4 Cl 2.33-2.34, 2 S 2.36
22 Pt 0.5000 0.0000 0.5000  4 Cl 2.33-2.34, 2 S 2.36


A relaxed structure of Tb3Lu, computed with meta-GGA r2SCAN.

Calculated values
VASP energy = -32.899 eV/atom
Total magnetic moment = 0.00 μB/f.u.

Lattice parameters (Å, degrees): 5.0082 5.0082 5.0082 90.00 90.00 90.00
With the nearest neighbours (Å) after each atom.
Fractional positions:
1 Tb 0.5000 0.0000 0.5000  8 Tb 3.54, 4 Lu 3.54
2 Tb 0.0000 0.5000 0.5000  8 Tb 3.54, 4 Lu 3.54
3 Tb 0.5000 0.5000 0.0000  8 Tb 3.54, 4 Lu 3.54
4 Lu 0.0000 0.0000 0.0000  12 Tb 3.54


A relaxed structure of AlGa3N4, computed with meta-GGA r2SCAN.

Calculated values
VASP energy = -10.616 eV/atom
Total magnetic moment = 0.00 μB/f.u.

Lattice parameters (Å, degrees): 3.1671 5.1456 5.4837 89.96 90.00 90.00
With the nearest neighbours (Å) after each atom.
Fractional positions:
1 N 0.5000 0.6326 0.3327  1 Al 1.89, 3 Ga 1.95
2 N 0.5000 0.1192 0.6587  1 Al 1.89, 3 Ga 1.95-1.96
3 N 0.0000 0.1168 0.1747  2 Al 1.90, 2 Ga 1.96-1.97
4 N 0.0000 0.6202 0.8338  4 Ga 1.94-1.95
5 Ga 0.0000 0.4991 0.1687  4 N 1.94-1.97
6 Ga 0.5000 0.4991 0.6649  4 N 1.94-1.96
7 Ga 0.0000 0.9999 0.8338  4 N 1.95-1.96
8 Al 0.5000 0.0005 0.3327  4 N 1.89-1.90


A relaxed structure of PmYRh2, computed with meta-GGA r2SCAN.

Calculated values
VASP energy = -25.330 eV/atom
Total magnetic moment = 0.00 μB/f.u.

Lattice parameters (Å, degrees): 4.8951 4.8951 4.8951 60.00 60.00 60.00
With the nearest neighbours (Å) after each atom.
Fractional positions:
1 Pm 0.5000 0.5000 0.5000  8 Rh 3.00
2 Rh 0.2500 0.2500 0.2500  4 Pm 3.00, 4 Y 3.00
3 Rh 0.7500 0.7500 0.7500  4 Pm 3.00, 4 Y 3.00
4 Y 0.0000 0.0000 0.0000  8 Rh 3.00


A relaxed structure of SrNd2Se4, computed with meta-GGA r2SCAN.

Calculated values
VASP energy = -20.990 eV/atom
Total magnetic moment = 0.00 μB/f.u.

Lattice parameters (Å, degrees): 7.8355 7.8355 7.8355 109.44 109.54 109.44
With the nearest neighbours (Å) after each atom.
Fractional positions:
1 Se 0.9915 0.3490 0.4906  4 Nd 2.98-3.24, 2 Sr 3.07-3.27
2 Se 0.6425 0.6510 0.6416  4 Nd 2.98-3.24, 2 Sr 3.07-3.27
3 Se 0.5085 0.9991 0.3575  4 Nd 2.98-3.24, 2 Sr 3.07-3.27
4 Se 0.1416 0.1510 0.1425  4 Nd 2.98-3.24, 2 Sr 3.07-3.27
5 Se 0.9906 0.8490 0.4915  4 Nd 2.98-3.24, 2 Sr 3.07-3.27
6 Se 0.8575 0.4991 0.0085  4 Nd 2.98-3.24, 2 Sr 3.07-3.27
7 Se 0.5094 0.0009 0.8584  4 Nd 2.98-3.24, 2 Sr 3.07-3.27
8 Se 0.3584 0.5009 0.0094  4 Nd 2.98-3.24, 2 Sr 3.07-3.27
9 Nd 0.2500 0.6267 0.3767  8 Se 2.98-3.24
10 Nd 0.7500 0.8733 0.1233  8 Se 2.98-3.24
11 Nd 0.6233 0.3733 0.2500  8 Se 2.98-3.24
12 Nd 0.8767 0.1267 0.7500  8 Se 2.98-3.24
13 Sr 0.1250 0.7500 0.8750  8 Se 3.07-3.27
14 Sr 0.3750 0.2500 0.6250  8 Se 3.07-3.27


A relaxed structure of Cs3PSe4, computed with meta-GGA r2SCAN.

Calculated values
VASP energy = -18.777 eV/atom
Total magnetic moment = 0.00 μB/f.u.

Lattice parameters (Å, degrees): 10.0306 10.0743 12.1299 90.00 90.00 90.00
With the nearest neighbours (Å) after each atom.
Fractional positions:
1 Se 0.5452 0.8282 0.0995  1 P 2.21
2 Se 0.2418 0.2152 0.2500  1 P 2.21
3 Se 0.7418 0.2848 0.7500  1 P 2.21
4 Se 0.4548 0.1718 0.9005  1 P 2.21
5 Se 0.0639 0.9786 0.7500  1 P 2.22
6 Se 0.2582 0.7152 0.2500  1 P 2.21
7 Se 0.7582 0.7848 0.7500  1 P 2.21
8 Se 0.9361 0.0214 0.2500  1 P 2.22
9 Se 0.0452 0.6718 0.9005  1 P 2.21
10 Se 0.4361 0.4786 0.7500  1 P 2.22
11 Se 0.9548 0.3282 0.4005  1 P 2.21
12 Se 0.0452 0.6718 0.5995  1 P 2.21
13 Se 0.4548 0.1718 0.5995  1 P 2.21
14 Se 0.9548 0.3282 0.0995  1 P 2.21
15 Se 0.5639 0.5214 0.2500  1 P 2.22
16 Se 0.5452 0.8282 0.4005  1 P 2.21
17 Cs 0.2046 0.9648 0.4599  7 Se 3.60-3.79
18 Cs 0.2954 0.4648 0.0401  7 Se 3.60-3.79
19 Cs 0.2046 0.9648 0.0401  7 Se 3.60-3.79
20 Cs 0.7046 0.5352 0.9599  7 Se 3.60-3.79
21 Cs 0.7046 0.5352 0.5401  7 Se 3.60-3.79
22 Cs 0.5952 0.1567 0.2500  5 Se 3.59-3.81
23 Cs 0.7954 0.0352 0.5401  7 Se 3.60-3.79
24 Cs 0.9048 0.6567 0.2500  5 Se 3.59-3.81
25 Cs 0.4048 0.8433 0.7500  5 Se 3.59-3.81
26 Cs 0.0952 0.3433 0.7500  5 Se 3.59-3.81
27 Cs 0.7954 0.0352 0.9599  7 Se 3.60-3.79
28 Cs 0.2954 0.4648 0.4599  7 Se 3.60-3.79
29 P 0.0220 0.2244 0.2500  4 Se 2.21-2.22
30 P 0.4780 0.7244 0.2500  4 Se 2.21-2.22
31 P 0.5220 0.2756 0.7500  4 Se 2.21-2.22
32 P 0.9780 0.7756 0.7500  4 Se 2.21-2.22


A relaxed structure of Er4MnS7, computed with meta-GGA r2SCAN.

Calculated values
VASP energy = -19.363 eV/atom
Total magnetic moment = 5.00 μB/f.u.

Lattice parameters (Å, degrees): 6.4901 6.4901 11.3672 75.68 75.68 33.65
With the nearest neighbours (Å) after each atom.
Fractional positions:
1 S 0.7429 0.7429 0.6410  1 Mn 2.66, 4 Er 2.74-2.87
2 S 0.9624 0.9624 0.7851  4 Er 2.66-2.69
3 S 0.2661 0.2661 0.3531  2 Mn 2.63, 3 Er 2.68-2.83
4 S 0.6596 0.6596 0.9481  4 Er 2.69-2.84
5 S 0.0359 0.0359 0.2234  1 Mn 2.53, 3 Er 2.63-2.68
6 S 0.3395 0.3395 0.0512  5 Er 2.69-2.97
7 S 0.4953 0.4953 0.4979  2 Mn 2.60, 2 Er 2.63
8 Er 0.1136 0.1136 0.5681  6 S 2.63-2.74
9 Er 0.9999 0.9999 0.0054  6 S 2.63-2.69
10 Er 0.3068 0.3068 0.8015  7 S 2.67-2.97
11 Er 0.6932 0.6932 0.2035  6 S 2.68-2.86
12 Mn 0.8849 0.8849 0.4217  6 S 2.53-2.66


A relaxed structure of PmSe2, computed with meta-GGA r2SCAN.

Calculated values
VASP energy = -21.271 eV/atom
Total magnetic moment = 0.00 μB/f.u.

Lattice parameters (Å, degrees): 4.1670 8.3822 8.4633 89.80 90.00 90.00
With the nearest neighbours (Å) after each atom.
Fractional positions:
1 Se 0.1828 0.6180 0.9977  1 Se 2.50
2 Se 0.8172 0.3820 0.0023  1 Se 2.50
3 Se 0.2570 0.3746 0.6315  5 Pm 2.97-3.18
4 Se 0.7570 0.1254 0.3685  5 Pm 2.97-3.18
5 Se 0.6828 0.8820 0.0023  1 Se 2.50
6 Se 0.7430 0.6254 0.3685  5 Pm 2.97-3.18
7 Se 0.2430 0.8746 0.6315  5 Pm 2.97-3.18
8 Se 0.3172 0.1180 0.9977  1 Se 2.50
9 Pm 0.7790 0.1265 0.7253  9 Se 2.97-3.22
10 Pm 0.7210 0.6265 0.7253  9 Se 2.97-3.22
11 Pm 0.2210 0.8735 0.2747  9 Se 2.97-3.22
12 Pm 0.2790 0.3735 0.2747  9 Se 2.97-3.22


Calculated energy relative to the elements in order - -2.64; -4.07; 0.16; -7.36; -3.19; -15.70; -8.64; -25.73; -5.65 eV per formula unit